{"formula": "LiMn4O8", "functional": "PBE+U", "state": "optimized geometry", "cell": [[4.0461, 5.7154, 2.1014], [3.1017, -1.0241, 4.7770], [7.0792, 1.6808, -0.7290]], "species": ["Mn", "Mn", "Mn", "Mn", "O", "O", "O", "O", "O", "O", "O", "O", "Li"], "frac_coords": [[0.5450, 0.4457, 0.5449], [0.4457, 0.5450, 0.9643], [0.9643, 0.5449, 0.4457], [0.5449, 0.9643, 0.5450], [0.3240, 0.7033, 0.7690], [0.7105, 0.2441, 0.3017], [0.3017, 0.2437, 0.7105], [0.2437, 0.3017, 0.2441], [0.2441, 0.7105, 0.2437], [0.7690, 0.7036, 0.3240], [0.7036, 0.7690, 0.7033], [0.7033, 0.3240, 0.7036], [0.3750, 0.3750, 0.3750]], "sg": "I-4m2, No. 119", "mass_density_g_cm3": 2.9, "de_polymorph_ev_per_fu": 5.41, "delta_e_f_ev_per_atom": -1.51, "e_tot_ev_per_cell": -85.618}

{"formula": "Li2Mn3F8", "functional": "PBE+U", "state": "optimized geometry", "cell": [[11.8306, 0.0000, 0.0000], [0.0000, 6.7060, 0.0000], [0.0000, 1.0684, 8.8639]], "species": ["F", "F", "F", "F", "F", "F", "F", "F", "F", "F", "F", "F", "F", "F", "F", "F", "F", "F", "F", "F", "F", "F", "F", "F", "F", "F", "F", "F", "F", "F", "F", "F", "Mn", "Mn", "Mn", "Mn", "Mn", "Mn", "Mn", "Mn", "Mn", "Mn", "Mn", "Mn", "Li", "Li", "Li", "Li", "Li", "Li", "Li", "Li"], "frac_coords": [[0.7180, 0.0897, 0.2239], [0.7842, 0.6363, 0.9042], [0.4048, 0.5210, 0.2533], [0.4561, 0.1595, 0.9063], [0.9048, 0.9790, 0.7467], [0.2158, 0.3637, 0.0958], [0.6934, 0.6539, 0.4698], [0.5828, 0.3869, 0.1005], [0.5952, 0.4790, 0.7467], [0.0665, 0.2433, 0.5044], [0.2180, 0.4103, 0.7761], [0.5665, 0.2567, 0.4956], [0.3066, 0.3461, 0.5302], [0.1934, 0.8461, 0.5302], [0.7158, 0.1363, 0.9042], [0.0828, 0.1131, 0.8995], [0.9172, 0.8869, 0.1005], [0.2842, 0.8637, 0.0958], [0.4154, 0.1253, 0.2565], [0.9154, 0.3747, 0.7435], [0.7820, 0.5897, 0.2239], [0.9335, 0.7567, 0.4956], [0.8066, 0.1539, 0.4698], [0.4335, 0.7433, 0.5044], [0.0846, 0.6253, 0.2565], [0.2820, 0.9103, 0.7761], [0.0952, 0.0210, 0.2533], [0.5439, 0.8405, 0.0937], [0.9561, 0.3405, 0.0937], [0.0439, 0.6595, 0.9063], [0.5846, 0.8747, 0.7435], [0.4172, 0.6131, 0.8995], [0.3918, 0.3567, 0.0627], [0.1082, 0.8567, 0.0627], [0.8031, 0.8548, 0.3428], [0.0906, 0.3199, 0.2659], [0.1969, 0.1452, 0.6572], [0.5906, 0.1801, 0.7341], [0.6082, 0.6433, 0.9373], [0.6969, 0.3548, 0.3428], [0.3031, 0.6452, 0.6572], [0.4094, 0.8199, 0.2659], [0.8918, 0.1433, 0.9373], [0.9094, 0.6801, 0.7341], [0.0772, 0.8051, 0.4039], [0.8864, 0.6066, 0.0698], [0.6136, 0.1066, 0.0698], [0.4228, 0.3051, 0.4039], [0.1136, 0.3934, 0.9302], [0.3864, 0.8934, 0.9302], [0.5772, 0.6949, 0.5961], [0.9228, 0.1949, 0.5961]], "sg": "P2_1/c, No. 14", "mass_density_g_cm3": 3.1, "de_polymorph_ev_per_fu": 0.69, "delta_e_f_ev_per_atom": -2.95, "e_tot_ev_per_cell": -305.044}

{"formula": "Li9Mn2Co5O16", "functional": "PBE+U", "state": "optimized geometry", "cell": [[2.5546, 0.0000, -1.3192], [2.1388, 39.0412, 1.0088], [-0.0902, 0.1229, 2.9583]], "species": ["O", "O", "O", "O", "O", "O", "O", "O", "O", "O", "O", "O", "O", "O", "O", "O", "Li", "Li", "Li", "Li", "Li", "Li", "Li", "Li", "Li", "Co", "Co", "Co", "Co", "Co", "Mn", "Mn"], "frac_coords": [[0.8737, 0.0924, 0.8398], [0.1277, 0.9039, 0.1593], [0.3992, 0.4714, 0.2698], [0.1264, 0.1573, 0.4100], [0.3715, 0.7212, 0.4643], [0.6274, 0.7789, 0.0338], [0.8714, 0.3461, 0.0888], [0.8707, 0.5963, 0.3376], [0.8730, 0.8457, 0.5918], [0.6041, 0.5291, 0.7372], [0.1269, 0.6543, 0.9080], [0.1291, 0.4040, 0.6623], [0.3886, 0.9704, 0.7476], [0.6205, 0.2794, 0.5204], [0.3757, 0.2234, 0.9748], [0.6127, 0.0261, 0.2515], [0.7564, 0.9345, 0.4473], [0.7484, 0.6879, 0.1846], [0.7596, 0.1866, 0.7058], [0.2337, 0.0673, 0.5347], [0.5011, 0.1246, 0.1267], [0.2520, 0.8120, 0.3159], [0.2432, 0.5648, 0.0512], [0.2477, 0.3126, 0.8079], [0.7600, 0.4353, 0.9554], [0.4975, 0.6257, 0.6208], [0.5022, 0.8742, 0.8787], [0.9995, 0.7501, 0.7490], [0.9987, 0.2507, 0.2480], [0.5017, 0.3746, 0.3779], [0.9981, 0.9991, 0.9953], [0.0017, 0.5002, 0.5036]], "sg": "Cm, No. 8", "mass_density_g_cm3": 4.1, "de_polymorph_ev_per_fu": 5.24, "delta_e_f_ev_per_atom": -1.70, "e_tot_ev_per_cell": -182.111}

{"formula": "NdSmCr4O12", "functional": "PBE+U", "state": "optimized geometry", "cell": [[-0.4664, -4.7854, -2.3572], [-3.3726, -1.6009, 3.8388], [-5.7775, 2.5414, -4.0160]], "species": ["Cr", "Cr", "Cr", "Cr", "O", "O", "O", "O", "O", "O", "O", "O", "O", "O", "O", "O", "Nd", "Sm"], "frac_coords": [[0.0116, 0.5064, 0.7488], [0.5064, 0.0116, 0.7488], [0.0116, 0.5064, 0.2512], [0.5064, 0.0116, 0.2512], [0.2862, 0.2862, 0.7911], [0.7796, 0.2124, 0.7449], [0.7796, 0.2124, 0.2551], [0.2124, 0.7796, 0.2551], [0.5248, 0.9541, 0.0000], [0.7202, 0.7202, 0.2918], [0.9541, 0.5248, 0.0000], [0.4386, 0.0392, 0.5000], [0.2862, 0.2862, 0.2089], [0.7202, 0.7202, 0.7082], [0.2124, 0.7796, 0.7449], [0.0392, 0.4386, 0.5000], [0.5205, 0.5205, 0.0000], [0.9878, 0.9878, 0.5000]], "sg": "Amm2, No. 38", "mass_density_g_cm3": 5.4, "delta_e_f_ev_per_atom": -2.26, "e_tot_ev_per_cell": -131.949}

{"formula": "BaEuYWO6", "functional": "PBE+U", "state": "optimized geometry", "cell": [[5.9363, 0.0400, 0.0069], [0.0413, 5.9555, -0.0066], [0.0116, -0.0083, 8.4752]], "species": ["O", "O", "O", "O", "O", "O", "O", "O", "O", "O", "O", "O", "W", "W", "Eu", "Eu", "Y", "Y", "Ba", "Ba"], "frac_coords": [[0.4480, 0.9711, 0.2621], [0.7284, 0.2986, 0.0388], [0.5520, 0.0289, 0.7379], [0.2405, 0.2089, 0.5280], [0.6985, 0.2746, 0.4612], [0.0808, 0.5001, 0.2370], [0.2716, 0.7014, 0.9612], [0.3015, 0.7254, 0.5388], [0.9192, 0.4999, 0.7630], [0.7595, 0.7911, 0.4720], [0.7934, 0.7589, 0.0334], [0.2066, 0.2411, 0.9666], [0.5000, 0.0000, 0.5000], [0.0000, 0.5000, 0.0000], [0.4990, 0.4675, 0.7485], [0.5010, 0.5325, 0.2515], [0.5000, 0.0000, 0.0000], [0.0000, 0.5000, 0.5000], [0.9958, 0.0207, 0.2506], [0.0042, 0.9793, 0.7494]], "sg": "P-1, No. 2", "mass_density_g_cm3": 7.3, "de_polymorph_ev_per_fu": 0.00, "delta_e_f_ev_per_atom": -3.12, "e_tot_ev_per_cell": -167.825}

{"formula": "NaCoO2", "functional": "PBE+U", "state": "optimized geometry", "cell": [[0.7766, 2.6237, -1.0014], [0.4143, -2.3686, -1.6456], [-9.6077, 1.2395, -4.2030]], "species": ["Na", "Na", "O", "O", "O", "O", "Co", "Co"], "frac_coords": [[0.6667, 0.3333, 0.7500], [0.3333, 0.6667, 0.2500], [0.3333, 0.6667, 0.5946], [0.6667, 0.3333, 0.0946], [0.6667, 0.3333, 0.4054], [0.3333, 0.6667, 0.9054], [0.0000, 0.0000, 0.5000], [0.0000, 0.0000, 0.0000]], "sg": "P6_3/mmc, No. 194", "mass_density_g_cm3": 4.9, "delta_e_f_ev_per_atom": -1.56, "e_tot_ev_per_cell": -43.087}

{"formula": "Fe3O4F2", "functional": "PBE+U", "state": "optimized geometry", "cell": [[-0.6536, 3.4357, -3.1321], [-4.0429, -2.8583, -2.6129], [-5.6873, 2.9854, 4.2288]], "species": ["O", "O", "O", "O", "O", "O", "O", "O", "Fe", "Fe", "Fe", "Fe", "Fe", "Fe", "F", "F", "F", "F"], "frac_coords": [[0.3026, 0.7938, 0.8918], [0.6966, 0.2087, 0.1053], [0.6988, 0.5423, 0.7581], [0.8036, 0.7116, 0.0959], [0.3067, 0.1286, 0.5706], [0.1884, 0.2930, 0.8952], [0.6875, 0.8636, 0.4448], [0.8184, 0.3639, 0.4427], [0.5337, 0.1687, 0.3450], [0.4916, 0.8338, 0.6680], [0.0033, 0.0035, 0.0034], [0.0095, 0.3345, 0.6691], [0.9494, 0.6572, 0.3250], [0.5123, 0.4966, 0.9872], [0.7997, 0.0370, 0.7689], [0.1964, 0.9612, 0.2391], [0.1972, 0.6325, 0.5545], [0.3042, 0.4696, 0.2351]], "sg": "P1, No. 1", "mass_density_g_cm3": 4.4, "de_polymorph_ev_per_fu": 0.27, "delta_e_f_ev_per_atom": -1.77, "e_tot_ev_per_cell": -109.070}

{"formula": "MgV4FeNiO12", "functional": "PBE+U", "state": "optimized geometry", "cell": [[-6.2868, -2.9388, 0.3289], [1.8029, -1.4803, -6.4833], [3.7761, -4.3478, 0.1164]], "species": ["O", "O", "O", "O", "O", "O", "O", "O", "O", "O", "O", "O", "V", "V", "V", "V", "Fe", "Mg", "Ni"], "frac_coords": [[0.6505, 0.9401, 0.2938], [0.5650, 0.2896, 0.4163], [0.3908, 0.0175, 0.8160], [0.3343, 0.6109, 0.0752], [0.0324, 0.8020, 0.6396], [0.1984, 0.0031, 0.1565], [0.3651, 0.6829, 0.5369], [0.0080, 0.2198, 0.3443], [0.6525, 0.3610, 0.9180], [0.8072, 0.0359, 0.8603], [0.8679, 0.6254, 0.2342], [0.1213, 0.3742, 0.8018], [0.2152, 0.6331, 0.7453], [0.6082, 0.1783, 0.7517], [0.7977, 0.3767, 0.2460], [0.4067, 0.8478, 0.2051], [0.0800, 0.0756, 0.7511], [0.2609, 0.2935, 0.2000], [0.9249, 0.9195, 0.2579]], "sg": "P1, No. 1", "mass_density_g_cm3": 3.5, "de_polymorph_ev_per_fu": 2.42, "delta_e_f_ev_per_atom": -2.10, "e_tot_ev_per_cell": -131.563}

{"formula": "MgV8Zn4O16", "functional": "PBE+U", "state": "optimized geometry", "cell": [[-2.9713, 0.9229, -0.3408], [0.0017, 3.2939, 10.3172], [2.0150, 9.0240, -3.9275]], "species": ["V", "V", "V", "V", "V", "V", "V", "V", "O", "O", "O", "O", "O", "O", "O", "O", "O", "O", "O", "O", "O", "O", "O", "O", "Zn", "Zn", "Zn", "Zn", "Mg"], "frac_coords": [[0.5042, 0.6195, 0.8812], [0.8423, 0.4307, 0.0969], [0.6397, 0.5763, 0.3723], [0.0567, 0.4437, 0.5893], [0.4283, 0.9329, 0.9069], [0.7986, 0.0336, 0.1726], [0.0658, 0.0835, 0.6290], [0.6513, 0.9154, 0.4124], [0.4930, 0.7665, 0.7791], [0.0753, 0.6098, 0.5080], [0.6523, 0.7365, 0.2912], [0.3665, 0.0791, 0.0413], [0.3954, 0.3240, 0.9771], [0.2308, 0.9551, 0.2811], [0.0343, 0.2759, 0.6788], [0.1037, 0.8929, 0.5398], [0.5305, 0.5001, 0.7215], [0.9624, 0.5917, 0.9874], [0.9112, 0.8663, 0.0245], [0.8238, 0.2452, 0.2053], [0.6119, 0.0871, 0.5187], [0.5737, 0.4021, 0.4598], [0.2585, 0.4972, 0.2415], [0.9441, 0.0300, 0.8135], [0.2856, 0.3070, 0.3072], [0.0446, 0.7552, 0.6478], [0.4948, 0.3274, 0.7874], [0.1800, 0.7756, 0.1720], [0.8950, 0.1896, 0.9878]], "sg": "P1, No. 1", "mass_density_g_cm3": 4.7, "de_polymorph_ev_per_fu": 0.00, "delta_e_f_ev_per_atom": -2.15, "e_tot_ev_per_cell": -196.237}

{"formula": "Tm3Fe5O12", "functional": "PBE+U", "state": "optimized geometry", "cell": [[8.8814, 5.9594, -1.3827], [-7.6184, 5.9561, 4.7738], [2.3144, -8.5165, 6.1982]], "species": ["O", "O", "O", "O", "O", "O", "O", "O", "O", "O", "O", "O", "O", "O", "O", "O", "O", "O", "O", "O", "O", "O", "O", "O", "O", "O", "O", "O", "O", "O", "O", "O", "O", "O", "O", "O", "O", "O", "O", "O", "O", "O", "O", "O", "O", "O", "O", "O", "Tm", "Tm", "Tm", "Tm", "Tm", "Tm", "Tm", "Tm", "Tm", "Tm", "Tm", "Tm", "Fe", "Fe", "Fe", "Fe", "Fe", "Fe", "Fe", "Fe", "Fe", "Fe", "Fe", "Fe", "Fe", "Fe", "Fe", "Fe", "Fe", "Fe", "Fe", "Fe"], "frac_coords": [[0.6271, 0.7106, 0.5340], [0.3234, 0.9165, 0.2894], [0.7106, 0.5340, 0.6271], [0.5340, 0.6271, 0.7106], [0.4069, 0.8234, 0.5340], [0.0931, 0.9660, 0.6766], [0.1271, 0.5931, 0.9165], [0.0931, 0.6271, 0.4165], [0.5835, 0.1766, 0.2106], [0.8729, 0.4069, 0.0835], [0.7106, 0.6766, 0.0835], [0.5835, 0.9069, 0.3729], [0.4069, 0.0835, 0.8729], [0.0835, 0.8729, 0.4069], [0.1766, 0.4660, 0.5931], [0.2106, 0.5835, 0.1766], [0.7894, 0.4165, 0.8234], [0.9069, 0.3729, 0.5835], [0.5931, 0.1766, 0.4660], [0.6766, 0.0835, 0.7106], [0.5340, 0.4069, 0.8234], [0.4660, 0.3729, 0.2894], [0.4165, 0.8234, 0.7894], [0.9660, 0.7894, 0.8729], [0.4165, 0.0931, 0.6271], [0.3234, 0.9069, 0.0340], [0.2894, 0.4660, 0.3729], [0.6766, 0.0931, 0.9660], [0.9069, 0.0340, 0.3234], [0.1271, 0.0340, 0.2106], [0.3729, 0.5835, 0.9069], [0.0835, 0.7106, 0.6766], [0.5931, 0.9165, 0.1271], [0.4660, 0.5931, 0.1766], [0.0340, 0.2106, 0.1271], [0.9165, 0.1271, 0.5931], [0.7894, 0.8729, 0.9660], [0.6271, 0.4165, 0.0931], [0.1766, 0.2106, 0.5835], [0.2894, 0.3234, 0.9165], [0.8234, 0.5340, 0.4069], [0.9165, 0.2894, 0.3234], [0.0340, 0.3234, 0.9069], [0.8729, 0.9660, 0.7894], [0.2106, 0.1271, 0.0340], [0.3729, 0.2894, 0.4660], [0.8234, 0.7894, 0.4165], [0.9660, 0.6766, 0.0931], [0.6250, 0.2500, 0.8750], [0.8750, 0.7500, 0.6250], [0.1250, 0.2500, 0.3750], [0.8750, 0.6250, 0.2500], [0.3750, 0.7500, 0.1250], [0.3750, 0.1250, 0.2500], [0.1250, 0.3750, 0.7500], [0.7500, 0.1250, 0.3750], [0.6250, 0.8750, 0.7500], [0.2500, 0.3750, 0.1250], [0.2500, 0.8750, 0.6250], [0.7500, 0.6250, 0.8750], [0.5000, 0.0000, 0.0000], [0.2500, 0.6250, 0.3750], [0.8750, 0.2500, 0.1250], [0.8750, 0.1250, 0.7500], [0.5000, 0.0000, 0.5000], [0.7500, 0.3750, 0.6250], [0.0000, 0.5000, 0.5000], [0.5000, 0.5000, 0.0000], [0.3750, 0.6250, 0.7500], [0.6250, 0.3750, 0.2500], [0.1250, 0.7500, 0.8750], [0.5000, 0.5000, 0.5000], [0.0000, 0.5000, 0.0000], [0.0000, 0.0000, 0.0000], [0.0000, 0.0000, 0.5000], [0.7500, 0.8750, 0.1250], [0.3750, 0.2500, 0.6250], [0.1250, 0.8750, 0.2500], [0.2500, 0.1250, 0.8750], [0.6250, 0.7500, 0.3750]], "sg": "Ia-3d, No. 230", "mass_density_g_cm3": 6.7, "delta_e_f_ev_per_atom": -2.56, "e_tot_ev_per_cell": -587.130}

{"formula": "Li3CrC3O9", "functional": "PBE+U", "state": "optimized geometry", "cell": [[2.5537, 4.9118, 2.3413], [-4.1123, -1.9704, 3.9160], [6.5769, -5.4132, 4.1829]], "species": ["O", "O", "O", "O", "O", "O", "O", "O", "O", "O", "O", "O", "O", "O", "O", "O", "O", "O", "C", "C", "C", "C", "C", "C", "Li", "Li", "Li", "Li", "Li", "Li", "Cr", "Cr"], "frac_coords": [[0.7485, 0.0972, 0.5562], [0.0903, 0.3774, 0.3973], [0.7485, 0.0972, 0.9438], [0.8678, 0.9744, 0.2500], [0.0972, 0.7485, 0.0562], [0.7782, 0.5910, 0.2500], [0.5328, 0.1945, 0.3879], [0.1945, 0.5328, 0.6121], [0.0903, 0.3774, 0.1027], [0.4862, 0.7443, 0.2500], [0.9744, 0.8678, 0.7500], [0.3774, 0.0903, 0.6027], [0.1945, 0.5328, 0.8879], [0.0972, 0.7485, 0.4438], [0.5328, 0.1945, 0.1121], [0.5910, 0.7782, 0.7500], [0.3774, 0.0903, 0.8973], [0.7443, 0.4862, 0.7500], [0.7689, 0.7029, 0.7500], [0.5591, 0.1257, 0.9836], [0.1257, 0.5591, 0.4836], [0.1257, 0.5591, 0.0164], [0.5591, 0.1257, 0.5164], [0.7029, 0.7689, 0.2500], [0.3950, 0.3648, 0.7500], [0.0506, 0.0506, 0.5000], [0.0506, 0.0506, 0.0000], [0.8275, 0.1976, 0.7500], [0.1976, 0.8275, 0.2500], [0.3648, 0.3950, 0.2500], [0.8103, 0.2812, 0.2500], [0.2812, 0.8103, 0.7500]], "sg": "Ama2, No. 40", "mass_density_g_cm3": 2.6, "delta_e_f_ev_per_atom": -2.09, "e_tot_ev_per_cell": -225.805}

What is the formula in the second record? Li2Mn3F8

Which formula does entry 2 have? Li2Mn3F8